Material: Li5Cr3NiO8
Method: DFT, PBE+U
State: optimized geometry

## Properties
M_tot, μB per atom: 0.647
Density, kg/m3: 4105
Energy relative to the elements, eV/atom: -2.1574
MP2020-corrected energy, eV/atom: -7.091
Offset from the most stable computed form, meV per atom: 0

Lattice parameters (Å, degrees): 8.4838 8.4838 8.4838 90.00 90.00 90.00
Positions (direct):
Li 0.0568 0.0568 0.0568
Li 0.1114 0.8614 0.8750
Li 0.1250 0.6114 0.6386
Li 0.1386 0.3750 0.3886
Li 0.1932 0.1932 0.1932
Li 0.3068 0.8068 0.6932
Li 0.3614 0.6250 0.8886
Li 0.3750 0.3886 0.1386
Li 0.3886 0.1386 0.3750
Li 0.4432 0.9432 0.5568
Li 0.5568 0.4432 0.9432
Li 0.6114 0.6386 0.1250
Li 0.6250 0.8886 0.3614
Li 0.6386 0.1250 0.6114
Li 0.6932 0.3068 0.8068
Li 0.8068 0.6932 0.3068
Li 0.8614 0.8750 0.1114
Li 0.8750 0.1114 0.8614
Li 0.8886 0.3614 0.6250
Li 0.9432 0.5568 0.4432
Cr 0.1227 0.6250 0.1273
Cr 0.1250 0.3727 0.8773
Cr 0.1273 0.1227 0.6250
Cr 0.3727 0.8773 0.1250
Cr 0.3750 0.6273 0.3773
Cr 0.3773 0.3750 0.6273
Cr 0.6227 0.8750 0.8727
Cr 0.6250 0.1273 0.1227
Cr 0.6273 0.3773 0.3750
Cr 0.8727 0.6227 0.8750
Cr 0.8750 0.8727 0.6227
Cr 0.8773 0.1250 0.3727
Ni 0.1250 0.8750 0.3750
Ni 0.3750 0.1250 0.8750
Ni 0.6250 0.6250 0.6250
Ni 0.8750 0.3750 0.1250
O 0.1144 0.8834 0.6259
O 0.1164 0.6164 0.8836
O 0.1166 0.1259 0.3856
O 0.1241 0.1334 0.8644
O 0.1259 0.3856 0.1166
O 0.1334 0.8644 0.1241
O 0.1336 0.3664 0.6336
O 0.1356 0.6241 0.3666
O 0.3644 0.3759 0.8666
O 0.3664 0.6336 0.1336
O 0.3666 0.1356 0.6241
O 0.3741 0.6144 0.6166
O 0.3759 0.8666 0.3644
O 0.3834 0.8741 0.8856
O 0.3836 0.3836 0.3836
O 0.3856 0.1166 0.1259
O 0.6144 0.6166 0.3741
O 0.6164 0.8836 0.1164
O 0.6166 0.3741 0.6144
O 0.6241 0.3666 0.1356
O 0.6259 0.1144 0.8834
O 0.6334 0.6356 0.8759
O 0.6336 0.1336 0.3664
O 0.6356 0.8759 0.6334
O 0.8644 0.1241 0.1334
O 0.8664 0.8664 0.8664
O 0.8666 0.3644 0.3759
O 0.8741 0.8856 0.3834
O 0.8759 0.6334 0.6356
O 0.8834 0.6259 0.1144
O 0.8836 0.1164 0.6164
O 0.8856 0.3834 0.8741

---

Material: Li2MoF6
Method: DFT, PBE+U
State: optimized geometry

## Properties
Density, kg/m3: 3461
Energy relative to the elements, eV/atom: -2.9743
MP2020-corrected energy, eV/atom: -5.880

Lattice parameters (Å, degrees): 4.7960 4.7960 9.3373 90.00 90.00 90.00
Positions (direct):
Li 0.0000 0.0000 0.1651
Li 0.0000 0.0000 0.8349
Li 0.5000 0.5000 0.3349
Li 0.5000 0.5000 0.6651
Mo 0.0000 0.0000 0.5000
Mo 0.5000 0.5000 0.0000
F 0.1992 0.1992 0.3401
F 0.1992 0.1992 0.6599
F 0.2066 0.2066 0.0000
F 0.2934 0.7066 0.5000
F 0.3008 0.6992 0.1599
F 0.3008 0.6992 0.8401
F 0.6992 0.3008 0.1599
F 0.6992 0.3008 0.8401
F 0.7066 0.2934 0.5000
F 0.7934 0.7934 0.0000
F 0.8008 0.8008 0.3401
F 0.8008 0.8008 0.6599

---

Material: Li9Mn2Co5O16
Method: DFT, PBE+U
State: optimized geometry

## Properties
M_tot, μB per atom: 0.417
Density, kg/m3: 4170
Energy relative to the elements, eV/atom: -1.7926
MP2020-corrected energy, eV/atom: -6.487
Offset from the most stable computed form, meV per atom: 72

Lattice parameters (Å, degrees): 19.3798 19.3798 5.0698 93.73 93.73 8.72
Positions (direct):
Li 0.0000 0.0000 0.0000
Li 0.1293 0.1293 0.3717
Li 0.2536 0.2536 0.7528
Li 0.3840 0.3840 0.1344
Li 0.5008 0.5008 0.4847
Li 0.6287 0.6287 0.8817
Li 0.7543 0.7543 0.2437
Li 0.8823 0.8823 0.6338
Li 0.9419 0.9419 0.3136
Mn 0.0659 0.0659 0.6852
Mn 0.3174 0.3174 0.4386
Co 0.1916 0.1916 0.0626
Co 0.4416 0.4416 0.8129
Co 0.5655 0.5655 0.1855
Co 0.6915 0.6915 0.5625
Co 0.8175 0.8175 0.9390
O 0.0372 0.0372 0.3571
O 0.0943 0.0943 0.0163
O 0.1627 0.1627 0.7321
O 0.2205 0.2205 0.3934
O 0.2887 0.2887 0.1085
O 0.3450 0.3450 0.7685
O 0.4142 0.4142 0.5132
O 0.4696 0.4696 0.1130
O 0.5383 0.5383 0.8135
O 0.5942 0.5942 0.5544
O 0.6621 0.6621 0.2325
O 0.7211 0.7211 0.8925
O 0.7892 0.7892 0.5689
O 0.8454 0.8454 0.3079
O 0.9138 0.9138 0.9591
O 0.9693 0.9693 0.6712

---

Material: Ti5Mn3O16
Method: DFT, PBE+U
State: optimized geometry

## Properties
M_tot, μB per atom: 0.372
Density, kg/m3: 4064
Energy relative to the elements, eV/atom: -2.7712
MP2020-corrected energy, eV/atom: -8.860

Lattice parameters (Å, degrees): 5.8594 5.8594 9.0602 90.60 90.60 60.13
Positions (direct):
Ti 0.0000 0.0000 0.0000
Ti 0.3365 0.3365 0.4976
Ti 0.3365 0.8418 0.7188
Ti 0.5065 0.5065 0.2194
Ti 0.8418 0.3365 0.7188
Mn 0.0097 0.5017 0.2161
Mn 0.5017 0.0097 0.2161
Mn 0.8409 0.8409 0.7163
O 0.0002 0.0002 0.6051
O 0.0078 0.5001 0.6058
O 0.1421 0.7140 0.8412
O 0.1480 0.1480 0.8440
O 0.1876 0.6252 0.3415
O 0.1916 0.1916 0.3362
O 0.3308 0.8378 0.1055
O 0.3322 0.3322 0.1071
O 0.4986 0.4986 0.6046
O 0.5001 0.0078 0.6058
O 0.6252 0.1876 0.3415
O 0.6734 0.6734 0.8198
O 0.6743 0.6743 0.3194
O 0.7140 0.1421 0.8412
O 0.8367 0.8367 0.1077
O 0.8378 0.3308 0.1055

---

Material: SrEuZrVO6
Method: DFT, PBE+U
State: optimized geometry

## Properties
M_tot, μB per atom: 0.800
Density, kg/m3: 5959
Energy relative to the elements, eV/atom: -3.2268
MP2020-corrected energy, eV/atom: -9.153

Lattice parameters (Å, degrees): 5.7315 5.7315 5.7315 60.00 60.00 60.00
Positions (direct):
Sr 0.0000 0.0000 0.0000
Eu 0.5000 0.5000 0.5000
Zr 0.2500 0.2500 0.2500
V 0.7500 0.7500 0.7500
O 0.5077 0.5077 0.9923
O 0.5077 0.9923 0.5077
O 0.5077 0.9923 0.9923
O 0.9923 0.5077 0.5077
O 0.9923 0.5077 0.9923
O 0.9923 0.9923 0.5077